Density functional theory data (PBE) for LiCaSn after structural relaxation.

Geometry as POSCAR:
```
LiCaSn
1.0
4.9241 0.0000 0.0000
-2.4621 4.2644 0.0000
0.0000 0.0000 10.8326
Li Ca Sn
3 3 3
Direct
0.0000 0.0000 0.0000
0.6667 0.3333 0.3034
0.6667 0.3333 0.6966
0.3333 0.6667 0.1669
0.3333 0.6667 0.5000
0.3333 0.6667 0.8331
0.0000 0.0000 0.3510
0.0000 0.0000 0.6490
0.6667 0.3333 0.0000
```

Computed properties:
spin magnetization	0.0	μB per formula unit
ΔH_f (0 K)	-561	meV per atom
volume	227.5	Å³/cell
SG	P-6m2



Density functional theory data (PBE) for Li5Ca7Sn11 after structural relaxation.

Geometry as POSCAR:
```
Li5Ca7Sn11
1.0
2.3142 -8.5639 0.0000
2.3142 8.5639 0.0000
0.0000 0.0000 32.0324
Li Ca Sn
10 14 22
Direct
0.1578 0.8422 0.7500
0.2083 0.7917 0.0279
0.2083 0.7917 0.4721
0.2884 0.7116 0.1164
0.2884 0.7116 0.3836
0.7116 0.2884 0.6164
0.7116 0.2884 0.8836
0.7917 0.2083 0.5279
0.7917 0.2083 0.9721
0.8422 0.1578 0.2500
0.3512 0.6488 0.7500
0.3936 0.6064 0.6012
0.3936 0.6064 0.8988
0.4034 0.5966 0.0302
0.4034 0.5966 0.4698
0.4544 0.5456 0.1835
0.4544 0.5456 0.3165
0.5456 0.4544 0.6835
0.5456 0.4544 0.8165
0.5966 0.4034 0.5302
0.5966 0.4034 0.9698
0.6064 0.3936 0.1012
0.6064 0.3936 0.3988
0.6488 0.3512 0.2500
0.0095 0.9905 0.2500
0.0453 0.9547 0.0385
0.0453 0.9547 0.4615
0.0713 0.9287 0.6079
0.0713 0.9287 0.8921
0.1085 0.8915 0.1748
0.1085 0.8915 0.3252
0.2206 0.7794 0.5616
0.2206 0.7794 0.9384
0.2693 0.7307 0.2056
0.2693 0.7307 0.2944
0.7307 0.2693 0.7056
0.7307 0.2693 0.7944
0.7794 0.2206 0.0616
0.7794 0.2206 0.4384
0.8915 0.1085 0.6748
0.8915 0.1085 0.8252
0.9287 0.0713 0.1079
0.9287 0.0713 0.3921
0.9547 0.0453 0.5385
0.9547 0.0453 0.9615
0.9905 0.0095 0.7500
```

Computed properties:
spin magnetization	0.0	μB per formula unit
ΔH_f (0 K)	-489	meV per atom
volume	1269.7	Å³/cell
SG	Cmcm



Density functional theory data (PBE) for LiCaSn after structural relaxation.

Geometry as POSCAR:
```
LiCaSn
1.0
4.9299 0.0000 0.0000
-2.4649 4.2694 0.0000
0.0000 0.0000 10.7789
Li Ca Sn
3 3 3
Direct
0.0000 0.0000 0.0000
0.0000 0.0000 0.3930
0.3333 0.6667 0.6791
0.6667 0.3333 0.1947
0.6667 0.3333 0.5270
0.6667 0.3333 0.8619
0.0000 0.0000 0.6947
0.3333 0.6667 0.0458
0.3333 0.6667 0.3468
```

Computed properties:
ΔH_f (0 K)	-561	meV per atom
volume	226.9	Å³/cell
SG	P3m1



Density functional theory data (PBE) for LiCa2Tl after structural relaxation.

Geometry as POSCAR:
```
LiCa2Tl
1.0
0.0000 3.8686 3.8686
3.8686 0.0000 3.8686
3.8686 3.8686 0.0000
Li Ca Tl
1 2 1
Direct
0.0000 0.0000 0.0000
0.2500 0.2500 0.2500
0.7500 0.7500 0.7500
0.5000 0.5000 0.5000
```

Computed properties:
ΔH_f (0 K)	-286	meV per atom
volume	115.8	Å³/cell
SG	Fm-3m



Density functional theory data (PBE) for Li2CaTl after structural relaxation.

Geometry as POSCAR:
```
Li2CaTl
1.0
0.0000 3.5520 3.5520
3.5520 0.0000 3.5520
3.5520 3.5520 0.0000
Li Ca Tl
2 1 1
Direct
0.2500 0.2500 0.2500
0.7500 0.7500 0.7500
0.0000 0.0000 0.0000
0.5000 0.5000 0.5000
```

Computed properties:
ΔH_f (0 K)	-248	meV per atom
volume	89.6	Å³/cell
SG	Fm-3m



Density functional theory data (PBE) for CaLu2O4 after structural relaxation.

Geometry as POSCAR:
```
CaLu2O4
1.0
9.7823 0.0000 0.0000
0.0000 3.2941 0.0000
0.0000 0.0000 11.5772
Ca Lu O
4 8 16
Direct
0.2459 0.2500 0.1487
0.2541 0.7500 0.6487
0.7459 0.2500 0.3513
0.7541 0.7500 0.8513
0.0747 0.2500 0.3861
0.0792 0.2500 0.8901
0.4208 0.7500 0.3901
0.4253 0.7500 0.8861
0.5747 0.2500 0.1139
0.5792 0.2500 0.6099
0.9208 0.7500 0.1099
0.9253 0.7500 0.6139
0.0174 0.7500 0.7842
0.0788 0.2500 0.5779
0.1281 0.7500 0.0229
0.2103 0.7500 0.3205
0.2897 0.2500 0.8205
0.3719 0.2500 0.5229
0.4212 0.7500 0.0779
0.4826 0.2500 0.2842
0.5174 0.7500 0.7158
0.5788 0.2500 0.9221
0.6281 0.7500 0.4771
0.7103 0.7500 0.1795
0.7897 0.2500 0.6795
0.8719 0.2500 0.9771
0.9212 0.7500 0.4221
0.9826 0.2500 0.2158
```

Computed properties:
spin magnetization	0.0	μB per formula unit
ΔH_f (0 K)	-3852	meV per atom
volume	373.1	Å³/cell
SG	Pnma